Rb2NaPrCl6: optimized geometry, GGA-PBE.

Results
- electronic total energy (eV per atom) = -3.98
- formation enthalpy at 0 K (eV/f.u.) = -24.3

Cell lengths 7.7923, 7.7923, 7.7923 Å; angles 60.00, 60.00, 60.00 degrees
Last column: nearest neighbours and their distance in Å.
Positions (direct):
Cl  0.7508  0.2492  0.2492  1 Pr 2.75, 1 Na 2.76
Cl  0.7508  0.7508  0.2492  1 Pr 2.75, 1 Na 2.76
Cl  0.2492  0.7508  0.2492  1 Pr 2.75, 1 Na 2.76
Cl  0.7508  0.2492  0.7508  1 Pr 2.75, 1 Na 2.76
Cl  0.2492  0.2492  0.7508  1 Pr 2.75, 1 Na 2.76
Cl  0.2492  0.7508  0.7508  1 Pr 2.75, 1 Na 2.76
Rb  0.2500  0.2500  0.2500  12 Cl 3.90
Rb  0.7500  0.7500  0.7500  12 Cl 3.90
Pr  0.0000  0.0000  0.0000  6 Cl 2.75
Na  0.5000  0.5000  0.5000  6 Cl 2.76